(1)
A plane-wave DFT calculation with PBE was carried out for Pr3Ru after structural relaxation.

**ΔH_f (0 K)**: -168 meV per atom

a b c (Å): 7.4720 9.8398 6.5526
angles (deg): 90.00 90.00 90.00
Closest atoms and distances in Å follow each position.
Space group Pnma (No. 62)
Inequivalent atoms, fractional coordinates:
Pr1 0.0409 0.2500 0.1458 x4  2 Ru 2.87-2.90
Pr2 0.1747 0.0686 0.6737 x8  2 Ru 2.92-2.98
Ru1 0.1155 0.7500 0.4486 x4  6 Pr 2.87-2.98



(2)
A plane-wave DFT calculation with PBE was carried out for PrRu2 after structural relaxation.

**ΔH_f (0 K)**: -97 meV per atom

a b c (Å): 7.7106 7.7106 7.7106
angles (deg): 90.00 90.00 90.00
Closest atoms and distances in Å follow each position.
Space group Fd-3m (No. 227, origin choice 2)
Inequivalent atoms, fractional coordinates:
Pr1 0.1250 0.1250 0.1250 x8  12 Ru 3.20, 4 Pr 3.34
Ru1 0.0000 0.0000 0.5000 x16  6 Ru 2.73



(3)
A plane-wave DFT calculation with PBE was carried out for PrSi2Ru after structural relaxation.

**ΔH_f (0 K)**: -829 meV per atom

a b c (Å): 4.5264 4.0832 8.3454
angles (deg): 90.00 101.94 90.00
Closest atoms and distances in Å follow each position.
Space group P2_1/m (No. 11)
Inequivalent atoms, fractional coordinates:
Pr1 0.0847 0.2500 0.2000 x2  9 Si 3.03-3.31, 2 Ru 3.31
Si1 0.1680 0.7500 0.4912 x2  4 Ru 2.38-2.45, 2 Si 2.57
Si2 0.4636 0.2500 0.9087 x2  1 Ru 2.43, 2 Si 2.53
Ru1 0.3788 0.2500 0.6116 x2  5 Si 2.38-2.45



(4)
A plane-wave DFT calculation with PBE was carried out for Pr3Sn13Ru4 after structural relaxation.

**ΔH_f (0 K)**: -422 meV per atom

a b c (Å): 9.8454 9.8454 9.8454
angles (deg): 90.00 90.00 90.00
Closest atoms and distances in Å follow each position.
Space group Pm-3n (No. 223)
Inequivalent atoms, fractional coordinates:
Pr1 0.0000 0.2500 0.5000 x6  12 Sn 3.45-3.47, 4 Ru 3.48
Sn1 0.0000 0.0000 0.0000 x2  12 Sn 3.36
Sn2 0.0000 0.3046 0.1542 x24  2 Ru 2.69
Ru1 0.2500 0.2500 0.2500 x8  6 Sn 2.69